[1]
The following is a PBE+U calculation of crystalline Co2H21I7N6O3 at its relaxed geometry, from Materials Project.

The structure in POSCAR format:
```
Co2H21I7N6O3
1.0
26.241 0.000 0.000
0.000 8.293 0.000
0.000 0.000 11.401
Co H I N O
8 84 28 24 12
direct
0.105 0.250 0.231 Co
0.188 0.250 0.107 Co
0.312 0.750 0.607 Co
0.395 0.750 0.731 Co
0.605 0.250 0.269 Co
0.688 0.250 0.393 Co
0.812 0.750 0.893 Co
0.895 0.750 0.769 Co
0.007 0.250 0.217 H
0.036 0.150 0.108 H
0.036 0.350 0.108 H
0.051 0.084 0.375 H
0.051 0.416 0.375 H
0.094 0.531 0.307 H
0.094 0.969 0.307 H
0.112 0.087 0.415 H
0.112 0.413 0.415 H
0.134 0.505 0.123 H
0.134 0.995 0.123 H
0.167 0.151 0.912 H
0.167 0.349 0.912 H
0.196 0.250 0.340 H
0.222 0.250 0.895 H
0.224 0.514 0.170 H
0.224 0.986 0.170 H
0.228 0.612 0.658 H
0.228 0.888 0.658 H
0.249 0.029 0.039 H
0.249 0.471 0.039 H
0.251 0.529 0.539 H
0.251 0.971 0.539 H
0.272 0.112 0.158 H
0.272 0.388 0.158 H
0.276 0.014 0.670 H
0.276 0.486 0.670 H
0.278 0.750 0.395 H
0.304 0.750 0.840 H
0.333 0.651 0.412 H
0.333 0.849 0.412 H
0.366 0.005 0.623 H
0.366 0.495 0.623 H
0.388 0.587 0.915 H
0.388 0.913 0.915 H
0.406 0.031 0.807 H
0.406 0.469 0.807 H
0.449 0.584 0.875 H
0.449 0.916 0.875 H
0.464 0.650 0.608 H
0.464 0.850 0.608 H
0.493 0.750 0.717 H
0.507 0.250 0.283 H
0.536 0.150 0.392 H
0.536 0.350 0.392 H
0.551 0.084 0.125 H
0.551 0.416 0.125 H
0.594 0.531 0.193 H
0.594 0.969 0.193 H
0.612 0.087 0.085 H
0.612 0.413 0.085 H
0.634 0.505 0.377 H
0.634 0.995 0.377 H
0.667 0.151 0.588 H
0.667 0.349 0.588 H
0.696 0.250 0.160 H
0.722 0.250 0.605 H
0.724 0.514 0.330 H
0.724 0.986 0.330 H
0.728 0.612 0.842 H
0.728 0.888 0.842 H
0.749 0.029 0.461 H
0.749 0.471 0.461 H
0.751 0.529 0.961 H
0.751 0.971 0.961 H
0.772 0.112 0.342 H
0.772 0.388 0.342 H
0.776 0.014 0.830 H
0.776 0.486 0.830 H
0.778 0.750 0.105 H
0.804 0.750 0.660 H
0.833 0.651 0.088 H
0.833 0.849 0.088 H
0.866 0.005 0.877 H
0.866 0.495 0.877 H
0.888 0.587 0.585 H
0.888 0.913 0.585 H
0.906 0.031 0.693 H
0.906 0.469 0.693 H
0.949 0.584 0.625 H
0.949 0.916 0.625 H
0.964 0.650 0.892 H
0.964 0.850 0.892 H
0.993 0.750 0.783 H
0.037 0.750 0.118 I
0.038 0.750 0.546 I
0.057 0.250 0.743 I
0.115 0.750 0.727 I
0.155 0.250 0.613 I
0.189 0.750 0.320 I
0.194 0.750 0.917 I
0.306 0.250 0.417 I
0.311 0.250 0.820 I
0.345 0.750 0.113 I
0.385 0.250 0.227 I
0.443 0.750 0.243 I
0.462 0.250 0.046 I
0.463 0.250 0.618 I
0.537 0.750 0.382 I
0.538 0.750 0.954 I
0.557 0.250 0.757 I
0.615 0.750 0.773 I
0.655 0.250 0.887 I
0.689 0.750 0.180 I
0.694 0.750 0.583 I
0.806 0.250 0.083 I
0.811 0.250 0.680 I
0.845 0.750 0.387 I
0.885 0.250 0.273 I
0.943 0.750 0.257 I
0.962 0.250 0.454 I
0.963 0.250 0.882 I
0.038 0.250 0.161 N
0.088 0.080 0.343 N
0.088 0.420 0.343 N
0.187 0.250 0.937 N
0.239 0.078 0.118 N
0.239 0.422 0.118 N
0.261 0.578 0.618 N
0.261 0.922 0.618 N
0.313 0.750 0.437 N
0.412 0.580 0.843 N
0.412 0.920 0.843 N
0.462 0.750 0.661 N
0.538 0.250 0.339 N
0.588 0.080 0.157 N
0.588 0.420 0.157 N
0.687 0.250 0.563 N
0.739 0.078 0.382 N
0.739 0.422 0.382 N
0.761 0.578 0.882 N
0.761 0.922 0.882 N
0.813 0.750 0.063 N
0.912 0.580 0.657 N
0.912 0.920 0.657 N
0.962 0.750 0.839 N
0.128 0.108 0.104 O
0.128 0.392 0.104 O
0.175 0.250 0.270 O
0.325 0.750 0.770 O
0.372 0.608 0.604 O
0.372 0.892 0.604 O
0.628 0.108 0.396 O
0.628 0.392 0.396 O
0.675 0.250 0.230 O
0.825 0.750 0.730 O
0.872 0.608 0.896 O
0.872 0.892 0.896 O
```

Output
energy of formation: -19.78 eV per formula unit

[2]
The following is a PBE+U calculation of crystalline K2CoP4H10O17 at its relaxed geometry, from Materials Project.

The structure in POSCAR format:
```
K2CoP4H10O17
1.0
13.132 0.000 0.000
0.000 16.374 0.000
-0.236 0.000 7.489
K Co P H O
8 4 16 40 68
direct
0.069 0.225 0.479 K
0.069 0.275 0.979 K
0.396 0.658 0.274 K
0.396 0.842 0.774 K
0.604 0.158 0.226 K
0.604 0.342 0.726 K
0.931 0.725 0.021 K
0.931 0.775 0.521 K
0.000 0.000 0.500 Co
0.000 0.500 0.000 Co
0.500 0.000 0.500 Co
0.500 0.500 0.000 Co
0.128 0.620 0.729 P
0.128 0.880 0.229 P
0.133 0.057 0.152 P
0.133 0.443 0.652 P
0.355 0.623 0.739 P
0.355 0.877 0.239 P
0.358 0.052 0.143 P
0.358 0.448 0.643 P
0.642 0.552 0.357 P
0.642 0.948 0.857 P
0.645 0.123 0.761 P
0.645 0.377 0.261 P
0.867 0.557 0.348 P
0.867 0.943 0.848 P
0.872 0.120 0.771 P
0.872 0.380 0.271 P
0.127 0.038 0.770 H
0.127 0.462 0.270 H
0.149 0.554 0.205 H
0.149 0.946 0.705 H
0.161 0.669 0.383 H
0.161 0.831 0.883 H
0.165 0.701 0.187 H
0.165 0.799 0.687 H
0.220 0.170 0.840 H
0.220 0.330 0.340 H
0.287 0.219 0.705 H
0.287 0.281 0.205 H
0.301 0.024 0.603 H
0.301 0.476 0.103 H
0.372 0.048 0.771 H
0.372 0.452 0.271 H
0.397 0.223 0.016 H
0.397 0.277 0.516 H
0.449 0.193 0.568 H
0.449 0.307 0.068 H
0.551 0.693 0.932 H
0.551 0.807 0.432 H
0.603 0.723 0.484 H
0.603 0.777 0.984 H
0.628 0.548 0.729 H
0.628 0.952 0.229 H
0.699 0.524 0.897 H
0.699 0.976 0.397 H
0.713 0.719 0.795 H
0.713 0.781 0.295 H
0.780 0.670 0.660 H
0.780 0.830 0.160 H
0.835 0.201 0.313 H
0.835 0.299 0.813 H
0.839 0.169 0.117 H
0.839 0.331 0.617 H
0.851 0.054 0.295 H
0.851 0.446 0.795 H
0.873 0.538 0.730 H
0.873 0.962 0.230 H
0.055 0.609 0.878 O
0.055 0.891 0.378 O
0.066 0.076 0.305 O
0.066 0.424 0.805 O
0.116 0.692 0.609 O
0.116 0.808 0.109 O
0.120 0.103 0.980 O
0.120 0.397 0.480 O
0.126 0.540 0.601 O
0.126 0.960 0.101 O
0.134 0.003 0.662 O
0.134 0.497 0.162 O
0.183 0.654 0.262 O
0.183 0.846 0.762 O
0.217 0.215 0.752 O
0.217 0.285 0.252 O
0.242 0.615 0.822 O
0.242 0.885 0.322 O
0.249 0.066 0.233 O
0.249 0.434 0.733 O
0.357 0.546 0.600 O
0.357 0.954 0.100 O
0.365 0.095 0.969 O
0.365 0.405 0.469 O
0.365 0.697 0.628 O
0.365 0.803 0.128 O
0.370 0.016 0.656 O
0.370 0.484 0.156 O
0.408 0.238 0.613 O
0.408 0.262 0.113 O
0.429 0.608 0.895 O
0.429 0.892 0.395 O
0.437 0.069 0.289 O
0.437 0.431 0.789 O
0.563 0.569 0.211 O
0.563 0.931 0.711 O
0.571 0.108 0.605 O
0.571 0.392 0.105 O
0.592 0.738 0.887 O
0.592 0.762 0.387 O
0.630 0.516 0.844 O
0.630 0.984 0.344 O
0.635 0.197 0.872 O
0.635 0.303 0.372 O
0.635 0.595 0.531 O
0.635 0.905 0.031 O
0.643 0.046 0.900 O
0.643 0.454 0.400 O
0.751 0.566 0.267 O
0.751 0.934 0.767 O
0.758 0.115 0.678 O
0.758 0.385 0.178 O
0.783 0.715 0.748 O
0.783 0.785 0.248 O
0.817 0.154 0.238 O
0.817 0.346 0.738 O
0.866 0.503 0.838 O
0.866 0.997 0.338 O
0.874 0.040 0.899 O
0.874 0.460 0.399 O
0.880 0.603 0.520 O
0.880 0.897 0.020 O
0.884 0.192 0.891 O
0.884 0.308 0.391 O
0.934 0.576 0.195 O
0.934 0.924 0.695 O
0.945 0.109 0.622 O
0.945 0.391 0.122 O
```

Output
energy of formation: -65.52 eV per formula unit

[3]
The following is a PBE+U calculation of crystalline KCoPH2O5 at its relaxed geometry, from Materials Project.

The structure in POSCAR format:
```
KCoPH2O5
1.0
9.652 0.000 0.000
0.000 5.650 0.000
-4.762 0.000 8.401
K Co P H O
4 4 4 8 20
direct
0.000 0.000 0.000 K
0.000 0.000 0.498 K
0.073 0.500 0.285 K
0.073 0.500 0.784 K
0.516 0.500 0.066 Co
0.519 0.500 0.567 Co
0.553 0.000 0.334 Co
0.557 0.000 0.835 Co
0.325 0.000 0.434 P
0.328 0.000 0.935 P
0.744 0.500 0.896 P
0.745 0.500 0.395 P
0.342 0.360 0.689 H
0.342 0.361 0.191 H
0.342 0.639 0.191 H
0.342 0.640 0.689 H
0.730 0.140 0.634 H
0.730 0.860 0.634 H
0.731 0.139 0.136 H
0.731 0.861 0.136 H
0.145 0.000 0.316 O
0.148 0.000 0.819 O
0.323 0.500 0.620 O
0.326 0.500 0.123 O
0.355 0.000 0.606 O
0.359 0.000 0.108 O
0.408 0.221 0.403 O
0.408 0.779 0.403 O
0.412 0.220 0.905 O
0.412 0.780 0.905 O
0.659 0.280 0.782 O
0.659 0.720 0.782 O
0.663 0.280 0.283 O
0.663 0.720 0.283 O
0.713 0.500 0.037 O
0.714 0.500 0.538 O
0.746 0.000 0.582 O
0.752 0.000 0.086 O
0.924 0.500 0.954 O
0.925 0.500 0.458 O
```

Output
energy of formation: -20.16 eV per formula unit

[4]
The following is a PBE+U calculation of crystalline K2CoP2H6O8 at its relaxed geometry, from Materials Project.

The structure in POSCAR format:
```
K2CoP2H6O8
1.0
4.524 0.950 2.726
2.469 -5.678 3.167
9.539 -2.633 -9.631
K Co P H O
4 2 4 12 16
direct
0.165 0.312 0.357 K
0.165 0.812 0.857 K
0.835 0.188 0.143 K
0.835 0.688 0.643 K
0.500 0.250 0.750 Co
0.500 0.750 0.250 Co
0.146 0.579 0.130 P
0.146 0.079 0.630 P
0.854 0.921 0.370 P
0.854 0.421 0.870 P
0.263 0.415 0.060 H
0.263 0.915 0.560 H
0.737 0.085 0.440 H
0.737 0.585 0.940 H
0.678 0.866 0.078 H
0.678 0.366 0.578 H
0.378 0.866 0.078 H
0.378 0.366 0.578 H
0.322 0.634 0.422 H
0.322 0.134 0.922 H
0.622 0.634 0.422 H
0.622 0.134 0.922 H
0.073 0.783 0.070 O
0.073 0.283 0.570 O
0.927 0.717 0.430 O
0.927 0.217 0.930 O
0.482 0.925 0.110 O
0.482 0.425 0.610 O
0.518 0.575 0.390 O
0.518 0.075 0.890 O
0.370 0.542 0.192 O
0.370 0.042 0.692 O
0.896 0.542 0.192 O
0.896 0.042 0.692 O
0.630 0.958 0.308 O
0.630 0.458 0.808 O
0.104 0.958 0.308 O
0.104 0.458 0.808 O
```

Output
energy of formation: -33.71 eV per formula unit